Crystalline Ti2ZnO4 at its relaxed geometry, computed with PBE-GGA.

Cell: 5.996 5.996 5.996 Å, 120.26 118.31 91.25°
Fractional coordinates of all 14 atoms:
Ti: 0.000 0.000 0.000
Ti: 0.500 0.000 0.000
Ti: 0.500 0.000 0.500
Ti: 0.500 0.500 0.500
Zn: 0.000 0.000 0.500
Zn: 0.000 0.500 0.000
O: 0.247 0.243 0.004
O: 0.254 0.225 0.471
O: 0.254 0.783 0.029
O: 0.261 0.757 0.504
O: 0.739 0.243 0.496
O: 0.746 0.217 0.971
O: 0.746 0.775 0.529
O: 0.753 0.757 0.996

Results
Energy with MP2020 corrections: -7.962 eV/atom
Spin magnetization: 0.026 μB/cell
SG: No. 74
Mass density: 4.9 g cm⁻³
Energy: -0.556 Ry/atom
E_form: -1823 kJ/mol of formula units

=====

Crystalline Na4Y2Si2SO12 at its relaxed geometry, computed with PBE-GGA.

Cell: 9.514 9.514 23.257 Å, 89.91 90.09 119.93°
Fractional coordinates of all 126 atoms:
Na: 0.659 0.999 0.259
Na: 0.366 0.384 0.238
Na: 0.985 0.614 0.255
Na: 0.616 0.634 0.738
Na: 0.001 0.341 0.759
Na: 0.386 0.015 0.755
Na: 0.326 0.333 0.592
Na: 0.033 0.717 0.571
Na: 0.652 0.948 0.589
Na: 0.283 0.967 0.071
Na: 0.667 0.674 0.092
Na: 0.052 0.348 0.089
Na: 0.993 0.666 0.925
Na: 0.699 0.051 0.904
Na: 0.318 0.281 0.922
Na: 0.949 0.301 0.404
Na: 0.334 0.007 0.425
Na: 0.719 0.682 0.422
Na: 0.986 0.968 0.500
Na: 0.032 0.014 0.000
Na: 0.653 0.301 0.834
Na: 0.699 0.347 0.334
Na: 0.319 0.635 0.167
Na: 0.365 0.681 0.667
Y: 0.987 0.992 0.349
Y: 0.008 0.013 0.849
Y: 0.999 0.003 0.651
Y: 0.997 0.001 0.151
Y: 0.654 0.325 0.682
Y: 0.675 0.346 0.182
Y: 0.666 0.336 0.985
Y: 0.664 0.334 0.485
Y: 0.321 0.658 0.016
Y: 0.342 0.679 0.516
Y: 0.333 0.669 0.318
Y: 0.331 0.667 0.818
Si: 0.692 0.694 0.249
Si: 0.001 0.305 0.250
Si: 0.306 0.308 0.749
Si: 0.695 0.999 0.750
Si: 0.358 0.027 0.582
Si: 0.667 0.638 0.584
Si: 0.973 0.642 0.082
Si: 0.362 0.333 0.084
Si: 0.025 0.360 0.916
Si: 0.334 0.971 0.917
Si: 0.640 0.975 0.416
Si: 0.029 0.666 0.417
S: 0.301 0.000 0.250
S: 0.000 0.699 0.750
S: 0.967 0.334 0.584
S: 0.666 0.033 0.084
S: 0.634 0.667 0.917
S: 0.333 0.366 0.417
O: 0.225 0.023 0.302
O: 0.806 0.782 0.305
O: 0.989 0.199 0.308
O: 0.218 0.194 0.805
O: 0.977 0.775 0.802
O: 0.801 0.011 0.808
O: 0.782 0.975 0.693
O: 0.197 0.220 0.692
O: 0.017 0.799 0.699
O: 0.780 0.803 0.192
O: 0.025 0.218 0.193
O: 0.201 0.983 0.199
O: 0.892 0.356 0.636
O: 0.473 0.116 0.639
O: 0.655 0.533 0.641
O: 0.884 0.527 0.139
O: 0.644 0.108 0.136
O: 0.467 0.345 0.141
O: 0.448 0.309 0.026
O: 0.864 0.553 0.025
O: 0.684 0.132 0.032
O: 0.447 0.136 0.525
O: 0.691 0.552 0.526
O: 0.868 0.316 0.532
O: 0.558 0.690 0.969
O: 0.140 0.449 0.972
O: 0.322 0.866 0.975
O: 0.551 0.860 0.472
O: 0.310 0.442 0.469
O: 0.134 0.678 0.475
O: 0.115 0.642 0.360
O: 0.530 0.887 0.358
O: 0.351 0.466 0.366
O: 0.113 0.470 0.858
O: 0.358 0.885 0.860
O: 0.534 0.649 0.866
O: 0.025 0.838 0.415
O: 0.824 0.998 0.414
O: 0.191 0.200 0.412
O: 0.002 0.176 0.914
O: 0.162 0.975 0.915
O: 0.800 0.809 0.912
O: 0.979 0.184 0.587
O: 0.178 0.012 0.586
O: 0.825 0.824 0.585
O: 0.988 0.822 0.086
O: 0.816 0.021 0.087
O: 0.176 0.175 0.085
O: 0.692 0.172 0.749
O: 0.491 0.332 0.748
O: 0.857 0.533 0.745
O: 0.668 0.509 0.248
O: 0.828 0.308 0.249
O: 0.467 0.143 0.245
O: 0.646 0.517 0.920
O: 0.845 0.345 0.919
O: 0.492 0.157 0.918
O: 0.655 0.155 0.419
O: 0.483 0.354 0.420
O: 0.843 0.508 0.418
O: 0.358 0.505 0.082
O: 0.157 0.665 0.081
O: 0.524 0.867 0.078
O: 0.335 0.843 0.581
O: 0.495 0.642 0.582
O: 0.133 0.476 0.578
O: 0.312 0.851 0.254
O: 0.511 0.679 0.252
O: 0.159 0.490 0.252
O: 0.321 0.489 0.752
O: 0.149 0.688 0.754
O: 0.510 0.841 0.752

Results
Energy with MP2020 corrections: -7.294 eV/atom
Spin magnetization: 0.000 μB/cell
Mass density: 3.0 g cm⁻³
Energy: -0.507 Ry/atom
E_form: -5846 kJ/mol of formula units